# 1
{
  "formula": "Al2FeCo",
  "functional": "meta-GGA r2SCAN",
  "state": "optimized geometry",
  "e_form_ev_per_atom": -0.35,
  "magnetic_moment_mub_per_atom": 0.002,
  "dft_energy_ev_per_atom": -10.629,
  "sg": "No. 225",
  "cell": [[-1.392, -2.171, 3.059], [-2.112, 1.761, 2.906], [-3.925, -0.706, 0.330]],
  "species": ["Fe", "Al", "Al", "Co"],
  "frac_coords": [[0.750, 0.750, 0.750], [0.000, 0.000, 0.000], [0.500, 0.500, 0.500], [0.250, 0.250, 0.250]]
}


# 2
{
  "formula": "Hf6Al2Co",
  "functional": "meta-GGA r2SCAN",
  "state": "optimized geometry",
  "e_form_ev_per_atom": -0.34,
  "magnetic_moment_mub_per_atom": 0.000,
  "dft_energy_ev_per_atom": -33.408,
  "sg": "No. 189",
  "cell": [[0.000, 0.000, -3.284], [-3.905, -6.764, 0.000], [-3.905, 6.764, 0.000]],
  "species": ["Hf", "Al", "Hf", "Hf", "Co", "Al", "Hf", "Hf", "Hf"],
  "frac_coords": [[0.000, 0.750, 0.750], [0.000, 0.333, 0.667], [0.500, 0.398, 0.398], [0.500, 0.602, 0.000], [0.500, 0.000, 0.000], [0.000, 0.667, 0.333], [0.000, 0.000, 0.250], [0.000, 0.250, 0.000], [0.500, 0.000, 0.602]]
}


# 3
{
  "formula": "Al2CoIr",
  "functional": "meta-GGA r2SCAN",
  "state": "optimized geometry",
  "e_form_ev_per_atom": -0.84,
  "magnetic_moment_mub_per_atom": 0.101,
  "dft_energy_ev_per_atom": -20.600,
  "sg": "No. 225",
  "cell": [[0.000, 2.928, 2.928], [2.928, 0.000, 2.928], [2.928, 2.928, 0.000]],
  "species": ["Al", "Ir", "Al", "Co"],
  "frac_coords": [[0.500, 0.500, 0.500], [0.750, 0.750, 0.750], [0.000, 0.000, 0.000], [0.250, 0.250, 0.250]]
}


# 4
{
  "formula": "LaAl4Co",
  "functional": "meta-GGA r2SCAN",
  "state": "optimized geometry",
  "e_form_ev_per_atom": -0.52,
  "magnetic_moment_mub_per_atom": 0.000,
  "dft_energy_ev_per_atom": -12.167,
  "sg": "No. 51",
  "cell": [[4.036, 0.000, 0.000], [0.000, 7.005, 0.000], [0.000, 0.000, 7.657]],
  "species": ["Co", "Al", "La", "Al", "Al", "Al", "Al", "Co", "La", "Al", "Al", "Al"],
  "frac_coords": [[0.000, 0.820, 0.250], [0.500, 0.286, 0.928], [0.000, 0.610, 0.750], [0.500, 0.286, 0.572], [0.500, 0.714, 0.072], [0.000, 0.000, 0.500], [0.500, 0.045, 0.250], [0.000, 0.180, 0.750], [0.000, 0.390, 0.250], [0.500, 0.955, 0.750], [0.500, 0.714, 0.428], [0.000, 0.000, 0.000]]
}


# 5
{
  "formula": "LiAlCoO3",
  "functional": "meta-GGA r2SCAN",
  "state": "optimized geometry",
  "e_form_ev_per_atom": -2.32,
  "magnetic_moment_mub_per_atom": 0.000,
  "dft_energy_ev_per_atom": -9.028,
  "cell": [[-4.400, -0.878, 3.563], [3.046, -4.505, -2.008], [5.865, -2.437, 6.255]],
  "species": ["O", "O", "O", "Co", "O", "O", "O", "Li", "O", "Al", "O", "O", "Co", "Li", "Co", "Al", "Al", "O", "Li", "Co", "O", "Al", "Li", "O"],
  "frac_coords": [[0.812, 0.924, 0.106], [0.627, 0.611, 0.624], [0.873, 0.389, 0.876], [0.545, 0.421, 0.867], [0.066, 0.782, 0.358], [0.934, 0.218, 0.642], [0.566, 0.782, 0.858], [0.299, 0.257, 0.617], [0.188, 0.076, 0.894], [0.876, 0.082, 0.877], [0.373, 0.389, 0.376], [0.688, 0.076, 0.394], [0.455, 0.579, 0.133], [0.201, 0.743, 0.883], [0.045, 0.421, 0.367], [0.624, 0.918, 0.623], [0.124, 0.918, 0.123], [0.312, 0.924, 0.606], [0.799, 0.257, 0.117], [0.955, 0.579, 0.633], [0.434, 0.218, 0.142], [0.376, 0.082, 0.377], [0.701, 0.743, 0.383], [0.127, 0.611, 0.124]]
}


# 6
{
  "formula": "Lu2Al3Co",
  "functional": "meta-GGA r2SCAN",
  "state": "optimized geometry",
  "e_form_ev_per_atom": -0.52,
  "magnetic_moment_mub_per_atom": 0.082,
  "dft_energy_ev_per_atom": -18.787,
  "sg": "No. 194",
  "cell": [[-2.681, 3.450, -3.134], [-2.653, -2.972, 3.611], [1.063, 6.087, 5.791]],
  "species": ["Al", "Al", "Al", "Co", "Co", "Lu", "Al", "Lu", "Al", "Al", "Lu", "Lu"],
  "frac_coords": [[0.327, 0.163, 0.250], [0.837, 0.163, 0.250], [0.673, 0.837, 0.750], [0.000, 0.000, 0.500], [0.000, 0.000, 0.000], [0.333, 0.667, 0.443], [0.163, 0.837, 0.750], [0.333, 0.667, 0.057], [0.163, 0.327, 0.750], [0.837, 0.673, 0.250], [0.667, 0.333, 0.943], [0.667, 0.333, 0.557]]
}


# 7
{
  "formula": "Lu2AlCo3",
  "functional": "meta-GGA r2SCAN",
  "state": "optimized geometry",
  "e_form_ev_per_atom": -0.26,
  "magnetic_moment_mub_per_atom": 0.003,
  "dft_energy_ev_per_atom": -20.689,
  "sg": "No. 166",
  "cell": [[4.093, -2.604, -0.004], [4.093, 2.604, -0.004], [2.441, 0.000, 4.193]],
  "species": ["Co", "Lu", "Al", "Co", "Co", "Lu"],
  "frac_coords": [[0.000, 0.000, 0.500], [0.371, 0.371, 0.371], [0.000, 0.000, 0.000], [0.500, 0.000, 0.000], [0.000, 0.500, 0.000], [0.629, 0.629, 0.629]]
}


# 8
{
  "formula": "MnAlCo2",
  "functional": "meta-GGA r2SCAN",
  "state": "optimized geometry",
  "e_form_ev_per_atom": -0.41,
  "magnetic_moment_mub_per_atom": 1.032,
  "dft_energy_ev_per_atom": -12.379,
  "sg": "No. 225",
  "cell": [[-3.947, 0.095, -0.650], [-2.463, -2.123, 2.332], [-2.410, 1.870, 2.590]],
  "species": ["Al", "Mn", "Co", "Co"],
  "frac_coords": [[0.000, 0.000, 0.000], [0.500, 0.500, 0.500], [0.750, 0.750, 0.750], [0.250, 0.250, 0.250]]
}


# 9
{
  "formula": "NbAlCo2",
  "functional": "meta-GGA r2SCAN",
  "state": "optimized geometry",
  "e_form_ev_per_atom": -0.45,
  "magnetic_moment_mub_per_atom": 0.500,
  "dft_energy_ev_per_atom": -14.934,
  "sg": "No. 225",
  "cell": [[-0.875, 1.513, 3.825], [-0.730, -2.642, 3.190], [2.812, -0.376, 3.104]],
  "species": ["Co", "Al", "Nb", "Co"],
  "frac_coords": [[0.250, 0.250, 0.250], [0.500, 0.500, 0.500], [0.000, 0.000, 0.000], [0.750, 0.750, 0.750]]
}


# 10
{
  "formula": "NdAl8Co2",
  "functional": "meta-GGA r2SCAN",
  "state": "optimized geometry",
  "e_form_ev_per_atom": -0.46,
  "magnetic_moment_mub_per_atom": 0.000,
  "dft_energy_ev_per_atom": -10.434,
  "sg": "No. 55",
  "cell": [[-3.154, -1.886, -1.529], [-0.469, -7.304, 9.976], [-8.689, 9.327, 6.421]],
  "species": ["Co", "Al", "Al", "Al", "Nd", "Al", "Al", "Al", "Co", "Al", "Al", "Al", "Al", "Al", "Al", "Al", "Co", "Nd", "Al", "Al", "Co", "Al", "Co", "Nd", "Al", "Al", "Co", "Al", "Al", "Al", "Co", "Co", "Al", "Al", "Al", "Al", "Al", "Al", "Al", "Al", "Al", "Al", "Al", "Nd"],
  "frac_coords": [[0.000, 0.535, 0.094], [0.000, 0.000, 0.000], [0.500, 0.000, 0.500], [0.500, 0.158, 0.379], [0.000, 0.341, 0.319], [0.500, 0.842, 0.621], [0.500, 0.169, 0.993], [0.000, 0.404, 0.753], [0.000, 0.848, 0.904], [0.000, 0.659, 0.956], [0.500, 0.953, 0.321], [0.500, 0.236, 0.172], [0.500, 0.764, 0.828], [0.500, 0.527, 0.368], [0.000, 0.596, 0.247], [0.000, 0.159, 0.544], [0.000, 0.965, 0.594], [0.000, 0.159, 0.819], [0.000, 0.341, 0.044], [0.500, 0.736, 0.328], [0.000, 0.035, 0.406], [0.500, 0.500, 0.000], [0.000, 0.465, 0.906], [0.000, 0.659, 0.681], [0.000, 0.841, 0.456], [0.500, 0.453, 0.179], [0.000, 0.652, 0.404], [0.000, 0.500, 0.500], [0.500, 0.342, 0.879], [0.500, 0.973, 0.868], [0.000, 0.152, 0.096], [0.000, 0.348, 0.596], [0.500, 0.831, 0.007], [0.500, 0.331, 0.493], [0.000, 0.096, 0.253], [0.500, 0.027, 0.132], [0.500, 0.547, 0.821], [0.500, 0.473, 0.632], [0.500, 0.264, 0.672], [0.000, 0.904, 0.747], [0.500, 0.658, 0.121], [0.500, 0.669, 0.507], [0.500, 0.047, 0.679], [0.000, 0.841, 0.181]]
}


# 11
{
  "formula": "NdAl4Co",
  "functional": "meta-GGA r2SCAN",
  "state": "optimized geometry",
  "e_form_ev_per_atom": -0.52,
  "magnetic_moment_mub_per_atom": 0.000,
  "dft_energy_ev_per_atom": -12.113,
  "sg": "No. 51",
  "cell": [[4.011, 0.000, 0.000], [0.000, 6.855, 0.000], [0.000, 0.000, 7.628]],
  "species": ["Al", "Al", "Nd", "Al", "Al", "Al", "Co", "Nd", "Co", "Al", "Al", "Al"],
  "frac_coords": [[0.000, 0.000, 0.000], [0.500, 0.297, 0.071], [0.000, 0.385, 0.750], [0.500, 0.703, 0.571], [0.500, 0.703, 0.929], [0.500, 0.041, 0.750], [0.000, 0.816, 0.750], [0.000, 0.615, 0.250], [0.000, 0.184, 0.250], [0.500, 0.959, 0.250], [0.000, 0.000, 0.500], [0.500, 0.297, 0.429]]
}


# 12
{
  "formula": "Al2CoO4",
  "functional": "meta-GGA r2SCAN",
  "state": "optimized geometry",
  "e_form_ev_per_atom": -2.76,
  "magnetic_moment_mub_per_atom": 0.429,
  "dft_energy_ev_per_atom": -9.987,
  "sg": "No. 227",
  "cell": [[-2.076, 4.929, 2.012], [-3.929, -0.036, 4.148], [1.383, 1.748, 5.261]],
  "species": ["O", "O", "O", "O", "Al", "O", "Al", "O", "Al", "O", "Co", "O", "Al", "Co"],
  "frac_coords": [[0.861, 0.861, 0.418], [0.389, 0.389, 0.389], [0.418, 0.861, 0.861], [0.389, 0.389, 0.832], [0.625, 0.125, 0.625], [0.861, 0.418, 0.861], [0.625, 0.625, 0.125], [0.832, 0.389, 0.389], [0.625, 0.625, 0.625], [0.389, 0.832, 0.389], [0.000, 0.000, 0.000], [0.861, 0.861, 0.861], [0.125, 0.625, 0.625], [0.250, 0.250, 0.250]]
}


What did the second record say?
{
  "formula": "Hf6Al2Co",
  "functional": "meta-GGA r2SCAN",
  "state": "optimized geometry",
  "e_form_ev_per_atom": -0.34,
  "magnetic_moment_mub_per_atom": 0.000,
  "dft_energy_ev_per_atom": -33.408,
  "sg": "No. 189",
  "cell": [[0.000, 0.000, -3.284], [-3.905, -6.764, 0.000], [-3.905, 6.764, 0.000]],
  "species": ["Hf", "Al", "Hf", "Hf", "Co", "Al", "Hf", "Hf", "Hf"],
  "frac_coords": [[0.000, 0.750, 0.750], [0.000, 0.333, 0.667], [0.500, 0.398, 0.398], [0.500, 0.602, 0.000], [0.500, 0.000, 0.000], [0.000, 0.667, 0.333], [0.000, 0.000, 0.250], [0.000, 0.250, 0.000], [0.500, 0.000, 0.602]]
}